1.
Na10Zr4Sc4Si7S5O48 GGA-PBE optimized geometry; uncorrected energy = -7.191 eV per atom; formation enthalpy at 0 K = -2.884 eV/atom
1.0
18.259 0.009 0.027
-4.561 7.906 0.001
0.035 0.023 23.066
O Si S Na Zr Sc
144 21 15 30 12 12
Direct
0.487 0.791 0.811
0.154 0.473 0.473
0.185 0.490 0.359
0.565 0.646 0.080
0.563 0.488 0.857
0.608 0.030 0.301
0.579 0.693 0.472
0.916 0.322 0.243
0.272 0.690 0.970
0.917 0.818 0.589
0.257 0.644 0.577
0.001 0.827 0.413
0.082 0.457 0.972
0.083 0.482 0.256
0.259 0.635 0.865
0.490 0.180 0.588
0.989 0.794 0.810
0.927 0.362 0.925
0.929 0.306 0.529
0.592 0.161 0.089
0.178 0.507 0.079
0.236 0.156 0.529
0.988 0.797 0.089
0.914 0.514 0.744
0.772 0.691 0.969
0.897 0.973 0.411
0.153 0.846 0.256
0.006 0.180 0.912
0.066 0.644 0.360
0.846 0.144 0.030
0.578 0.186 0.412
0.259 0.688 0.255
0.685 0.880 0.860
0.016 0.824 0.695
0.517 0.828 0.697
0.579 0.464 0.972
0.592 0.970 0.198
0.241 0.351 0.143
0.065 0.488 0.577
0.081 0.980 0.912
0.594 0.037 0.589
0.417 0.040 0.804
0.759 0.827 0.754
0.416 0.322 0.243
0.158 0.465 0.756
0.398 0.814 0.912
0.761 0.637 0.865
0.908 0.024 0.809
0.500 0.826 0.412
0.428 0.545 0.031
0.172 0.842 0.580
0.900 0.984 0.692
0.231 0.152 0.243
0.231 0.306 0.744
0.939 0.524 0.136
0.439 0.524 0.136
0.584 0.684 0.755
0.321 0.512 0.924
0.678 0.508 0.080
0.905 0.828 0.194
0.018 0.204 0.197
0.518 0.203 0.197
0.852 0.549 0.525
0.748 0.647 0.578
0.740 0.352 0.145
0.093 0.213 0.699
0.092 0.970 0.198
0.410 0.795 0.587
0.593 0.215 0.696
0.760 0.880 0.366
0.912 0.790 0.309
0.818 0.500 0.637
0.679 0.855 0.578
0.487 0.797 0.089
0.086 0.693 0.754
0.826 0.134 0.423
0.735 0.314 0.030
0.752 0.359 0.421
0.987 0.183 0.311
0.235 0.314 0.027
0.929 0.545 0.031
0.427 0.490 0.424
0.066 0.494 0.861
0.734 0.164 0.530
0.652 0.459 0.755
0.729 0.306 0.744
0.506 0.180 0.911
0.579 0.968 0.912
0.412 0.789 0.309
0.487 0.183 0.311
0.562 0.640 0.358
0.272 0.854 0.469
0.405 0.827 0.194
0.429 0.312 0.531
0.326 0.134 0.423
0.065 0.646 0.079
0.151 0.834 0.972
0.256 0.871 0.078
0.835 0.160 0.746
0.242 0.129 0.644
0.757 0.872 0.078
0.842 0.518 0.245
0.743 0.123 0.643
0.092 0.018 0.588
0.075 0.692 0.475
0.438 0.353 0.636
0.397 0.974 0.412
0.653 0.846 0.256
0.910 0.025 0.087
0.652 0.460 0.476
0.093 0.161 0.088
0.248 0.153 0.922
0.108 0.030 0.301
0.824 0.128 0.135
0.078 0.188 0.412
0.583 0.482 0.255
0.109 0.190 0.803
0.897 0.819 0.912
0.759 0.688 0.255
0.346 0.145 0.032
0.429 0.372 0.924
0.259 0.829 0.754
0.939 0.360 0.633
0.341 0.165 0.744
0.409 0.024 0.088
0.988 0.180 0.589
0.402 0.980 0.692
0.774 0.856 0.470
0.341 0.517 0.245
0.323 0.125 0.136
0.605 0.183 0.800
0.655 0.836 0.973
0.731 0.152 0.243
0.345 0.547 0.529
0.565 0.482 0.580
0.181 0.878 0.858
0.682 0.491 0.361
0.323 0.521 0.634
0.928 0.487 0.421
0.417 0.511 0.743
0.753 0.143 0.924
0.260 0.884 0.365
0.252 0.362 0.423
0.826 0.518 0.924
0.520 0.368 0.916
0.165 0.957 0.918
0.854 0.711 0.251
0.187 0.338 0.084
0.019 0.670 0.418
0.186 0.034 0.586
0.495 0.289 0.253
0.663 0.956 0.919
0.831 0.627 0.585
0.995 0.289 0.253
0.853 0.003 0.751
0.685 0.038 0.586
0.020 0.370 0.918
0.685 0.338 0.087
0.520 0.671 0.417
0.663 0.367 0.419
0.354 0.997 0.750
0.354 0.710 0.251
0.996 0.698 0.752
0.496 0.700 0.754
0.164 0.370 0.419
0.147 0.294 0.750
0.479 0.332 0.584
0.980 0.334 0.583
0.480 0.628 0.084
0.146 0.001 0.249
0.812 0.666 0.918
0.831 0.040 0.083
0.646 0.001 0.249
0.312 0.958 0.417
0.812 0.959 0.417
0.645 0.290 0.750
0.331 0.038 0.085
0.980 0.628 0.083
0.332 0.623 0.583
0.312 0.668 0.918
0.513 0.995 0.496
0.674 0.660 0.161
0.491 0.312 0.412
0.184 0.371 0.244
0.018 0.706 0.580
0.336 0.335 0.329
0.673 0.684 0.665
0.016 0.005 0.497
0.835 0.334 0.330
0.686 0.999 0.746
0.159 0.292 0.921
0.493 0.626 0.253
0.658 0.340 0.580
0.513 0.030 0.995
0.826 0.958 0.589
0.174 0.660 0.161
0.992 0.673 0.913
0.494 0.359 0.756
0.842 0.337 0.827
0.684 0.372 0.244
0.491 0.672 0.913
0.011 0.017 0.999
0.340 0.329 0.832
0.174 0.679 0.667
0.993 0.626 0.253
0.989 0.309 0.412
0.853 0.667 0.412
0.852 0.038 0.910
0.184 0.996 0.747
0.353 0.666 0.410
0.824 0.322 0.981
0.499 0.013 0.147
0.162 0.675 0.814
0.666 0.678 0.815
0.496 0.980 0.649
0.998 0.987 0.649
0.165 0.653 0.314
0.326 0.329 0.481
0.999 0.014 0.147
0.827 0.340 0.481
0.664 0.653 0.314
0.329 0.317 0.980
0.660 0.668 0.519
0.658 0.648 0.018
0.332 0.323 0.687
0.833 0.343 0.185
0.497 0.004 0.853
0.160 0.652 0.018
0.835 0.335 0.686
0.001 0.998 0.351
0.501 0.999 0.351
0.997 0.998 0.849
0.163 0.670 0.517
0.333 0.343 0.184

2.
CaI2O12 GGA-PBE optimized geometry; uncorrected energy = -4.545 eV per atom; polymorph energy (0 for the lowest one) = 93.1 meV per atom; formation enthalpy at 0 K = -0.379 eV/atom
1.0
-13.523 6.737 -4.524
-12.353 6.376 3.622
0.832 6.469 -5.031
O I Ca
24 4 2
Direct
0.781 0.844 0.749
0.312 0.002 0.441
0.880 0.626 0.309
0.941 0.065 0.370
0.624 0.370 0.065
0.949 0.237 0.542
0.501 0.624 0.469
0.809 0.005 0.938
0.245 0.441 0.002
0.422 0.423 0.472
0.970 0.980 0.245
0.013 0.301 0.978
0.185 0.309 0.626
0.248 0.938 0.005
0.804 0.245 0.980
0.708 0.978 0.301
0.005 0.446 0.280
0.272 0.542 0.237
0.270 0.280 0.446
0.626 0.749 0.844
0.683 0.472 0.423
0.827 0.828 0.567
0.778 0.567 0.828
0.406 0.469 0.624
0.228 0.015 0.320
0.930 0.813 0.022
0.235 0.022 0.813
0.437 0.320 0.015
0.669 0.331 0.331
0.919 0.581 0.581

3.
Rb2CoS2 GGA-PBE optimized geometry; uncorrected energy = -4.213 eV per atom; formation enthalpy at 0 K = -0.945 eV/atom
1.0
-3.047 3.529 6.625
3.047 -3.529 6.625
3.047 3.529 -6.625
S Rb Co
4 4 2
Direct
0.767 0.595 0.172
0.423 0.095 0.328
0.233 0.405 0.828
0.577 0.905 0.672
0.688 0.353 0.335
0.312 0.647 0.665
0.982 0.147 0.835
0.018 0.853 0.165
0.500 0.750 0.250
0.500 0.250 0.750

4.
AlSb3F15 GGA-PBE optimized geometry; uncorrected energy = -4.739 eV per atom; formation enthalpy at 0 K = -2.743 eV/atom
1.0
-1.886 -10.692 -0.482
3.598 -0.843 4.609
-6.276 0.729 8.393
F Al Sb
30 2 6
Direct
0.119 0.132 0.601
0.250 0.354 0.135
0.584 0.890 0.975
0.118 0.699 0.204
0.614 0.259 0.130
0.416 0.110 0.025
0.587 0.286 0.458
0.087 0.714 0.542
0.250 0.410 0.402
0.081 0.089 0.328
0.381 0.132 0.601
0.419 0.089 0.328
0.114 0.741 0.870
0.413 0.714 0.542
0.618 0.301 0.796
0.619 0.868 0.399
0.913 0.286 0.458
0.581 0.911 0.672
0.882 0.301 0.796
0.886 0.259 0.130
0.881 0.868 0.399
0.382 0.699 0.204
0.750 0.846 0.177
0.919 0.911 0.672
0.916 0.890 0.975
0.084 0.110 0.025
0.750 0.590 0.598
0.250 0.154 0.823
0.750 0.646 0.865
0.386 0.741 0.870
0.750 0.477 0.760
0.250 0.523 0.240
0.557 0.943 0.163
0.500 0.000 0.500
0.000 0.000 0.500
0.443 0.057 0.837
0.057 0.057 0.837
0.943 0.943 0.163